VASP calculation (meta-GGA r2SCAN) on SmFeB4 after structural relaxation.

Cell lengths 5.9640, 11.5568, 3.4903 Å; angles 90.00, 90.00, 90.00 degrees
With the nearest neighbours (Å) after each atom.
Space group Pbam (No. 55)
Inequivalent atoms, fractional coordinates:
Sm1 0.1262 0.1505 0.0000 x4  14 B 2.64-2.76
Fe1 0.1268 0.4173 0.0000 x4  10 B 2.28-2.31, 1 Fe 2.44
B1 0.0220 0.6887 0.5000 x4  3 B 1.73-1.91
B2 0.1114 0.5458 0.5000 x4  3 B 1.70-1.74
B3 0.1411 0.9667 0.5000 x4  3 B 1.74-1.85
B4 0.2221 0.8179 0.5000 x4  3 B 1.79-1.91

Results
Formation enthalpy at 0 K, meV/atom: -507
Total moment, μB/cell: 6.17
Crystal system: orthorhombic